Entry 1:
A plane-wave DFT calculation with r2SCAN was carried out for a relaxed structure of SrSnPt.

Cell lengths 4.746, 7.703, 8.020 Å; angles 90.00, 90.00, 90.00 degrees
Sites, in units of the cell vectors:
Pt 0.750 0.701 0.607
Sr 0.250 0.520 0.818
Pt 0.250 0.299 0.393
Sr 0.250 0.020 0.682
Sn 0.750 0.838 0.925
Sr 0.750 0.480 0.182
Sn 0.250 0.162 0.075
Pt 0.250 0.799 0.107
Pt 0.750 0.201 0.893
Sr 0.750 0.980 0.318
Sn 0.250 0.662 0.425
Sn 0.750 0.338 0.575

E_form in meV/atom: -930

***

Entry 2:
A plane-wave DFT calculation with r2SCAN was carried out for a relaxed structure of Li9Co7O16.

Cell lengths 5.612, 6.303, 7.438 Å; angles 85.86, 79.14, 77.14 degrees
Sites, in units of the cell vectors:
Li 0.804 0.635 0.123
Li 0.317 0.633 0.123
Li 0.438 0.879 0.367
Li 0.938 0.877 0.373
O 0.032 0.543 0.326
O 0.799 0.043 0.819
Co 0.871 0.751 0.754
Li 0.196 0.365 0.877
Co 0.624 0.249 0.246
O 0.533 0.545 0.325
O 0.270 0.042 0.819
O 0.968 0.457 0.674
O 0.842 0.208 0.423
Li 0.683 0.367 0.877
Li 0.500 0.000 0.000
Li 0.562 0.121 0.633
O 0.091 0.705 0.927
O 0.467 0.455 0.675
Co 0.129 0.249 0.246
Co 0.250 0.500 0.500
O 0.909 0.295 0.073
O 0.656 0.796 0.577
O 0.158 0.792 0.577
Co 0.750 0.500 0.500
O 0.401 0.311 0.083
Li 0.062 0.123 0.627
O 0.599 0.689 0.917
O 0.730 0.958 0.181
O 0.201 0.957 0.181
Co 0.376 0.751 0.754
Co 0.000 0.000 0.000
O 0.344 0.204 0.423

Distance to the lowest polymorph of the same formula in kJ/mol of formula units: 0
E_form in meV/atom: -1775

***

Entry 3:
A plane-wave DFT calculation with r2SCAN was carried out for a relaxed structure of BaHg6.

Cell lengths 5.396, 10.592, 13.746 Å; angles 90.00, 90.00, 90.00 degrees
Sites, in units of the cell vectors:
Ba 0.750 0.628 0.683
Hg 0.750 0.887 0.866
Hg 0.250 0.490 0.841
Hg 0.250 0.387 0.634
Ba 0.750 0.872 0.183
Hg 0.750 0.359 0.901
Hg 0.750 0.510 0.159
Ba 0.250 0.128 0.817
Hg 0.250 0.765 0.812
Hg 0.250 0.735 0.312
Hg 0.250 0.010 0.341
Hg 0.250 0.641 0.100
Hg 0.750 0.109 0.994
Hg 0.250 0.366 0.041
Hg 0.250 0.609 0.506
Hg 0.250 0.113 0.134
Ba 0.250 0.372 0.317
Hg 0.750 0.866 0.459
Hg 0.250 0.891 0.006
Hg 0.750 0.235 0.188
Hg 0.750 0.391 0.494
Hg 0.250 0.134 0.541
Hg 0.750 0.613 0.366
Hg 0.750 0.990 0.659
Hg 0.750 0.265 0.688
Hg 0.750 0.634 0.959
Hg 0.750 0.141 0.400
Hg 0.250 0.859 0.599

E_form in meV/atom: -306

***

Entry 4:
A plane-wave DFT calculation with r2SCAN was carried out for a relaxed structure of CeAl3Cu.

Cell lengths 6.095, 6.095, 6.095 Å; angles 139.42, 139.42, 58.73 degrees
Sites, in units of the cell vectors:
Al 0.735 0.235 0.500
Cu 0.618 0.618 0.000
Al 0.393 0.393 0.000
Al 0.235 0.735 0.500
Ce 0.984 0.984 0.000

E_form in meV/atom: -493

***

Entry 5:
A plane-wave DFT calculation with r2SCAN was carried out for a relaxed structure of PmSmIr2.

Cell lengths 4.947, 4.947, 4.947 Å; angles 60.00, 60.00, 60.00 degrees
Sites, in units of the cell vectors:
Ir 0.250 0.250 0.250
Ir 0.750 0.750 0.750
Pm 0.500 0.500 0.500
Sm 0.000 0.000 0.000

E_form in meV/atom: -722

***

Entry 6:
A plane-wave DFT calculation with r2SCAN was carried out for a relaxed structure of ScBrO.

Cell lengths 3.561, 3.963, 8.936 Å; angles 90.00, 90.00, 90.00 degrees
Sites, in units of the cell vectors:
Sc 0.250 0.750 0.604
O 0.750 0.750 0.469
Br 0.750 0.750 0.825
Sc 0.750 0.250 0.396
O 0.250 0.250 0.531
Br 0.250 0.250 0.175

E_form in meV/atom: -3053